Record 1
# CsMnF4

A relaxed CsMnF4 crystal (r2SCAN, the Materials Project).

abc: 7.8714 7.8714 6.3514
angles: 90.00 90.00 90.00
With the nearest neighbours (Å) after each atom.
Sites, in units of the cell vectors:
Cs1 0.0000 0.0000 0.5000  12 F 3.12-3.48
Cs2 0.5000 0.5000 0.5000  12 F 3.12-3.48
Cs3 0.0000 0.5000 0.4420  12 F 3.02-3.26
Cs4 0.5000 0.0000 0.5580  12 F 3.02-3.26
Mn1 0.7500 0.2500 0.0000  6 F 1.84-1.99
Mn2 0.7500 0.7500 0.0000  6 F 1.84-1.99
Mn3 0.2500 0.2500 0.0000  6 F 1.84-1.99
Mn4 0.2500 0.7500 0.0000  6 F 1.84-1.99
F1 0.7471 0.5000 0.0455  2 Mn 1.99
F2 0.0000 0.7529 0.0455  2 Mn 1.99
F3 0.0000 0.2471 0.0455  2 Mn 1.99
F4 0.2529 0.5000 0.0455  2 Mn 1.99
F5 0.7529 0.0000 0.9545  2 Mn 1.99
F6 0.2471 0.0000 0.9545  2 Mn 1.99
F7 0.5000 0.7471 0.9545  2 Mn 1.99
F8 0.5000 0.2529 0.9545  2 Mn 1.99
F9 0.7217 0.2217 0.2846  1 Mn 1.84
F10 0.7217 0.7783 0.2846  1 Mn 1.84
F11 0.2783 0.2217 0.2846  1 Mn 1.84
F12 0.2783 0.7783 0.2846  1 Mn 1.84
F13 0.7783 0.7217 0.7154  1 Mn 1.84
F14 0.2217 0.2783 0.7154  1 Mn 1.84
F15 0.2217 0.7217 0.7154  1 Mn 1.84
F16 0.7783 0.2783 0.7154  1 Mn 1.84

Summary:
Formation energy = -2.99 eV per atom



Record 2
# CsMnF3

A relaxed CsMnF3 crystal (r2SCAN, the Materials Project).

abc: 6.2187 6.2187 15.0791
angles: 90.00 90.00 120.00
With the nearest neighbours (Å) after each atom.
Sites, in units of the cell vectors:
Cs1 0.0000 0.0000 0.2500  12 F 3.12-3.13
Cs2 0.0000 0.0000 0.7500  12 F 3.12-3.13
Cs3 0.3333 0.6667 0.0973  12 F 3.07-3.22
Cs4 0.6667 0.3333 0.5973  12 F 3.07-3.22
Cs5 0.6667 0.3333 0.9027  12 F 3.07-3.22
Cs6 0.3333 0.6667 0.4028  12 F 3.07-3.22
Mn1 0.0000 0.0000 0.0000  6 F 2.14
Mn2 0.3333 0.6667 0.6516  6 F 2.11-2.15
Mn3 0.6667 0.3333 0.1516  6 F 2.11-2.15
Mn4 0.6667 0.3333 0.3484  6 F 2.11-2.15
Mn5 0.3333 0.6667 0.8484  6 F 2.11-2.15
Mn6 0.0000 0.0000 0.5000  6 F 2.14
F1 0.3308 0.1654 0.0792  2 Mn 2.11-2.14
F2 0.8346 0.1654 0.4208  2 Mn 2.11-2.14
F3 0.8346 0.6692 0.4208  2 Mn 2.11-2.14
F4 0.3308 0.1654 0.4208  2 Mn 2.11-2.14
F5 0.6692 0.8346 0.9208  2 Mn 2.11-2.14
F6 0.1654 0.3308 0.5792  2 Mn 2.11-2.14
F7 0.5219 0.0437 0.2500  2 Mn 2.15
F8 0.4781 0.5219 0.7500  2 Mn 2.15
F9 0.0437 0.5219 0.7500  2 Mn 2.15
F10 0.9563 0.4781 0.2500  2 Mn 2.15
F11 0.5219 0.4781 0.2500  2 Mn 2.15
F12 0.4781 0.9563 0.7500  2 Mn 2.15
F13 0.8346 0.6692 0.0792  2 Mn 2.11-2.14
F14 0.1654 0.8346 0.5792  2 Mn 2.11-2.14
F15 0.6692 0.8346 0.5792  2 Mn 2.11-2.14
F16 0.1654 0.3308 0.9208  2 Mn 2.11-2.14
F17 0.8346 0.1654 0.0792  2 Mn 2.11-2.14
F18 0.1654 0.8346 0.9208  2 Mn 2.11-2.14

Summary:
Formation energy = -2.99 eV per atom



Record 3
# CsMnF4

A relaxed CsMnF4 crystal (r2SCAN, the Materials Project).

abc: 7.9276 7.9276 6.3302
angles: 90.00 90.00 90.00
With the nearest neighbours (Å) after each atom.
Sites, in units of the cell vectors:
Cs1 0.5000 0.0000 0.5559  12 F 3.02-3.28
Cs2 0.5000 0.5000 0.5000  8 F 3.09-3.17
Cs3 0.0000 0.5000 0.4441  12 F 3.02-3.28
Cs4 0.0000 0.0000 0.5000  8 F 3.09-3.17
Mn1 0.7500 0.2500 0.0000  4 F 1.83-1.88
Mn2 0.2500 0.7500 0.0000  4 F 1.83-1.88
Mn3 0.2500 0.2500 0.0000  4 F 1.83-1.88
Mn4 0.7500 0.7500 0.0000  4 F 1.83-1.88
F1 0.5154 0.7469 0.9524  1 Mn 1.88
F2 0.7178 0.7746 0.2853  1 Mn 1.83
F3 0.0154 0.2469 0.0476  1 Mn 1.88
F4 0.7746 0.2822 0.7147  1 Mn 1.83
F5 0.7531 0.0154 0.9524  1 Mn 1.88
F6 0.2822 0.2254 0.2853  1 Mn 1.83
F7 0.7254 0.2178 0.2853  1 Mn 1.83
F8 0.9846 0.7531 0.0476  1 Mn 1.88
F9 0.4846 0.2531 0.9524  1 Mn 1.88
F10 0.2469 0.9846 0.9524  1 Mn 1.88
F11 0.7822 0.7254 0.7147  1 Mn 1.83
F12 0.2254 0.7178 0.7147  1 Mn 1.83
F13 0.2746 0.7822 0.2853  1 Mn 1.83
F14 0.7469 0.4846 0.0476  1 Mn 1.88
F15 0.2531 0.5154 0.0476  1 Mn 1.88
F16 0.2178 0.2746 0.7147  1 Mn 1.83

Summary:
Formation energy = -3.01 eV per atom



Record 4
# Cs2MnF5

A relaxed Cs2MnF5 crystal (r2SCAN, the Materials Project).

abc: 4.2688 6.3438 6.3438
angles: 90.01 90.00 90.00
With the nearest neighbours (Å) after each atom.
Sites, in units of the cell vectors:
Cs1 0.5000 0.0000 0.5000  10 F 3.12-3.17
Cs2 0.5000 0.5000 0.0000  10 F 3.12-3.17
Mn1 0.0000 0.0000 0.0000  4 F 1.87
F1 0.0000 0.7920 0.7920  1 Mn 1.87
F2 0.0000 0.2080 0.7920  1 Mn 1.87
F3 0.0000 0.7920 0.2080  1 Mn 1.87
F4 0.5000 0.0000 0.0000  2 Mn 2.13
F5 0.0000 0.2080 0.2080  1 Mn 1.87

Summary:
Formation energy = -3.02 eV per atom



no.,total moment (μB per formula unit)
1,4.00
2,5.00
3,4.00
4,4.00